This record from Materials Project describes an optimized crystal structure of MgH2. The functional is meta-GGA r2SCAN.

The space group is Pca2_1 (No. 29) and the conventional cell measures 4.864, 4.646 and 4.739 Å, with angles of 90.00, 90.00 and 90.00 degrees. The distinct sites, in fractional coordinates, are Mg at (0.030, 0.236, 0.000), H at (0.120, 0.406, 0.613) and H at (0.243, 0.946, 0.780).

Its energy of formation is -0.7 eV/f.u. Its total magnetization is 0.00 μB per formula unit. The value obtained for the density is 1.63 g/cm³.